Here is MgU2P2H20O22 after structural relaxation from Materials Project. Energies are from PBE-GGA.

Spin magnetization: 0.0 Bohr magnetons per cell
DFT formation energy: -1984 meV per atom

Unit cell a=19.983 b=7.019 c=9.861 alpha=45.45 beta=90.00 gamma=90.00
Element x y z (fractional)
O1 0.916 0.715 0.760
H1 0.925 0.361 0.952
H2 0.575 0.361 0.452
H3 0.425 0.639 0.548
O2 0.202 0.476 0.985
H4 0.617 0.241 0.890
H5 0.625 0.975 0.411
O3 0.202 0.768 0.512
H6 0.943 0.827 0.643
O4 0.798 0.232 0.488
U1 0.793 0.528 0.519
H7 0.422 0.753 0.252
H8 0.029 0.523 0.693
O5 0.068 0.831 0.931
O6 0.296 0.833 0.653
O7 0.616 0.531 0.025
H9 0.388 0.918 0.387
O8 0.116 0.469 0.475
H10 0.578 0.247 0.748
O9 0.581 0.897 0.431
H11 0.965 0.446 0.639
H12 0.419 0.164 0.634
O10 0.207 0.192 0.435
H13 0.057 0.173 0.357
O11 0.298 0.768 0.012
O12 0.003 0.373 0.726
O13 0.432 0.831 0.431
H14 0.035 0.554 0.361
H15 0.557 0.827 0.143
H16 0.117 0.759 0.610
H17 0.081 0.164 0.134
O14 0.298 0.100 0.306
O15 0.707 0.808 0.065
H18 0.875 0.975 0.911
O16 0.584 0.715 0.260
H19 0.971 0.477 0.307
H20 0.375 0.025 0.589
U2 0.207 0.472 0.481
O17 0.702 0.232 0.988
Mg1 0.500 0.000 0.500
O18 0.798 0.524 0.015
H21 0.125 0.025 0.089
O19 0.932 0.169 0.069
H22 0.581 0.836 0.366
H23 0.529 0.477 0.807
O20 0.084 0.285 0.240
P1 0.251 0.973 0.477
H24 0.075 0.639 0.048
O21 0.928 0.224 0.358
O22 0.798 0.900 0.194
U3 0.293 0.472 0.981
H25 0.383 0.759 0.110
O23 0.072 0.776 0.642
H26 0.535 0.446 0.139
H27 0.130 0.264 0.288
P2 0.749 0.027 0.523
H28 0.078 0.753 0.752
H29 0.112 0.918 0.887
P3 0.249 0.973 0.977
H30 0.883 0.241 0.390
H31 0.612 0.082 0.613
U4 0.707 0.528 0.019
H32 0.919 0.836 0.866
O24 0.572 0.224 0.858
H33 0.888 0.082 0.113
O25 0.702 0.524 0.515
O26 0.081 0.103 0.069
H34 0.471 0.523 0.193
H35 0.630 0.736 0.212
O27 0.704 0.167 0.347
O28 0.204 0.833 0.153
H36 0.465 0.554 0.861
P4 0.751 0.027 0.023
O29 0.568 0.169 0.569
O30 0.384 0.469 0.975
O31 0.997 0.627 0.274
O32 0.293 0.192 0.935
O33 0.419 0.103 0.569
H37 0.922 0.247 0.248
O34 0.298 0.476 0.485
O35 0.884 0.531 0.525
O36 0.428 0.776 0.142
O37 0.497 0.373 0.226
H38 0.370 0.264 0.788
O38 0.919 0.897 0.931
Mg2 0.000 0.000 0.000
H39 0.443 0.173 0.857
O39 0.202 0.100 0.806
O40 0.702 0.900 0.694
O41 0.796 0.167 0.847
O42 0.793 0.808 0.565
O43 0.503 0.627 0.774
H40 0.870 0.736 0.712
O44 0.416 0.285 0.740